22
Lattice="-0.2296 -4.3322 5.8485 0.5399 2.8616 6.6742 -5.8071 0.1171 4.3920" Properties=species:S:1:pos:R:3 comment="Ca2Ru2O7, optimized geometry, DFT PBE" ef_ev_per_atom=-2.16 crystal_system=cubic energy_ev_per_cell=-152.4 pbc="T T T"
Ru -0.4171 1.2616 5.4514
O -4.7652 -2.8470 9.5510
Ca -0.5319 -0.9045 8.3757
O -4.2932 1.5653 10.0575
O -2.7484 -0.6767 8.4573
O -0.4003 -1.7518 3.2199
O -2.5568 -0.0314 2.6568
O -2.6456 -1.7065 4.9181
O -0.1915 -0.6453 5.8005
O -2.3481 1.0750 5.2374
O -4.6244 -0.1899 5.9639
Ru -3.5906 -0.1107 4.3103
Ca -3.4355 -0.8459 10.5717
O -0.8723 -1.1636 10.9508
Ru -0.6871 -0.1692 2.1143
O -1.2035 -2.9188 6.8572
Ca -3.3207 1.3202 7.6474
O -4.1226 -1.0151 12.6860
Ca -3.7054 -2.2767 7.2346
O -0.7315 1.4935 7.3636
O -0.1028 1.0298 3.5392
Ru -0.8019 -2.3353 5.0386